1.
Here is Fe3OF9 after structural relaxation from Materials Project. Energies are from GGA+U.

Values from the calculation:
* E_tot: -65.13 eV per formula unit
* calculated density: 3.19 g/cm³
* energy of formation from the pure elements: -2.24 eV per atom

Lattice parameters (Å, degrees): 7.4758 7.4758 7.6008 90.00 90.00 119.73
With the nearest neighbours (Å) after each atom.
Fractional coordinates of all 26 atoms:
Fe (0.0000, 0.0000, 0.0000)  6 F 1.96
Fe (0.0000, 0.0000, 0.5000)  6 F 1.96
Fe (0.0000, 0.5000, 0.0000)  6 F 1.97-1.98
Fe (0.0000, 0.5000, 0.5000)  6 F 1.97-1.98
Fe (0.5000, 0.0000, 0.0000)  6 F 1.97-1.98
Fe (0.5000, 0.0000, 0.5000)  6 F 1.97-1.98
O (0.4994, 0.5006, 0.7500)  12 F 3.14-3.51
O (0.5006, 0.4994, 0.2500)  12 F 3.14-3.51
F (0.0370, 0.9630, 0.2500)  2 Fe 1.96
F (0.0744, 0.5090, 0.7500)  2 Fe 1.97
F (0.0810, 0.2893, 0.0432)  2 Fe 1.96-1.98
F (0.0810, 0.2893, 0.4568)  2 Fe 1.96-1.98
F (0.2841, 0.7159, 0.0527)  2 Fe 1.97
F (0.2841, 0.7159, 0.4473)  2 Fe 1.97
F (0.2893, 0.0810, 0.5432)  2 Fe 1.96-1.98
F (0.2893, 0.0810, 0.9568)  2 Fe 1.96-1.98
F (0.4910, 0.9256, 0.7500)  2 Fe 1.97
F (0.5090, 0.0744, 0.2500)  2 Fe 1.97
F (0.7107, 0.9190, 0.0432)  2 Fe 1.96-1.98
F (0.7107, 0.9190, 0.4568)  2 Fe 1.96-1.98
F (0.7159, 0.2841, 0.5527)  2 Fe 1.97
F (0.7159, 0.2841, 0.9473)  2 Fe 1.97
F (0.9190, 0.7107, 0.5432)  2 Fe 1.96-1.98
F (0.9190, 0.7107, 0.9568)  2 Fe 1.96-1.98
F (0.9256, 0.4910, 0.2500)  2 Fe 1.97
F (0.9630, 0.0370, 0.7500)  2 Fe 1.96

***

2.
Here is Fe10O11F9 after structural relaxation from Materials Project. Energies are from GGA+U.

Values from the calculation:
* E_tot: -180.84 eV per formula unit
* calculated density: 4.37 g/cm³
* energy of formation from the pure elements: -1.96 eV per atom

Lattice parameters (Å, degrees): 4.7344 4.7365 15.3489 90.11 90.16 91.30
With the nearest neighbours (Å) after each atom.
Fractional coordinates of all 30 atoms:
Fe (0.0000, 0.0000, 0.0000)  3 O 1.94-1.95, 2 F 2.07-2.08
Fe (0.0013, 0.9728, 0.5927)  4 O 1.95-2.00, 2 F 2.16-2.17
Fe (0.0680, 0.9375, 0.2009)  3 O 1.92-1.95, 2 F 2.03-2.08
Fe (0.4951, 0.4401, 0.0999)  3 O 1.92-1.97, 2 F 2.06-2.08
Fe (0.5398, 0.4408, 0.4977)  4 O 1.93-2.01, 2 F 2.14
Fe (0.5596, 0.5022, 0.2994)  3 O 1.93-1.96, 3 F 2.03-2.15
Fe (0.5694, 0.4702, 0.6977)  3 O 1.94, 3 F 2.11-2.16
Fe (0.5769, 0.4749, 0.8997)  3 O 1.93, 2 F 2.13-2.15
Fe (0.9907, 0.9704, 0.7974)  3 O 1.92-1.96, 1 F 2.10
Fe (0.9943, 0.9869, 0.4037)  4 O 1.95-1.96, 1 F 2.16
O (0.2099, 0.1463, 0.0999)  3 Fe 1.92-1.95
O (0.2198, 0.1629, 0.4973)  3 Fe 1.96-2.00
O (0.3494, 0.6505, 0.1998)  3 Fe 1.92-1.96
O (0.7133, 0.2860, 0.0026)  3 Fe 1.93-1.97
O (0.7183, 0.2848, 0.3956)  3 Fe 1.94-1.96
O (0.7194, 0.2739, 0.5977)  3 Fe 1.93-1.98
O (0.7298, 0.2863, 0.7990)  3 Fe 1.93-1.96
O (0.8195, 0.7661, 0.4972)  3 Fe 1.95-2.01
O (0.8383, 0.7847, 0.6960)  3 Fe 1.92-1.97
O (0.8392, 0.7920, 0.9012)  3 Fe 1.93-1.95
O (0.8516, 0.7927, 0.2997)  3 Fe 1.93-1.95
F (0.2285, 0.1753, 0.6996)  3 Fe 2.10-2.17
F (0.2280, 0.1832, 0.8992)  3 Fe 2.07-2.16
F (0.2385, 0.1748, 0.2990)  3 Fe 2.03-2.16
F (0.3236, 0.6676, 0.9994)  3 Fe 2.06-2.22
F (0.3303, 0.6646, 0.5992)  3 Fe 2.11-2.16
F (0.3312, 0.6715, 0.3977)  3 Fe 2.03-2.21
F (0.3380, 0.6776, 0.7993)  3 Fe 2.15-2.17
F (0.7333, 0.2686, 0.1995)  3 Fe 2.07-2.25
F (0.8246, 0.7628, 0.1009)  3 Fe 2.08-2.16

***

3.
Here is Fe4O7F after structural relaxation from Materials Project. Energies are from GGA+U.

Values from the calculation:
* E_tot: -73.70 eV per formula unit
* calculated density: 4.59 g/cm³
* energy of formation from the pure elements: -1.46 eV per atom

Lattice parameters (Å, degrees): 7.5618 7.5618 6.6533 115.82 115.82 50.32
With the nearest neighbours (Å) after each atom.
Fractional coordinates of all 24 atoms:
Fe (0.0000, 0.0000, 0.0000)  6 O 1.91-2.01
Fe (0.1243, 0.1243, 0.6224)  6 O 1.96-2.06
Fe (0.2438, 0.2438, 0.2367)  5 O 1.94-1.98, 1 F 2.09
Fe (0.3748, 0.3748, 0.8993)  5 O 1.93-1.97, 1 F 2.13
Fe (0.5000, 0.5000, 0.5000)  4 O 1.92-1.95, 2 F 2.05
Fe (0.6252, 0.6252, 0.1007)  5 O 1.93-1.97, 1 F 2.13
Fe (0.7562, 0.7562, 0.7633)  5 O 1.94-1.98, 1 F 2.09
Fe (0.8757, 0.8757, 0.3776)  6 O 1.96-2.06
O (0.0580, 0.4431, 0.7541)  3 Fe 1.94-1.98
O (0.1177, 0.1177, 0.9232)  3 Fe 1.91-2.05
O (0.1222, 0.1222, 0.3115)  3 Fe 1.94-2.06
O (0.1973, 0.8027, 0.5000)  3 Fe 1.95-1.96
O (0.3123, 0.6877, 0.0000)  3 Fe 1.93-2.01
O (0.3749, 0.3749, 0.1954)  3 Fe 1.92-1.97
O (0.4431, 0.0580, 0.7541)  3 Fe 1.94-1.98
O (0.5569, 0.9420, 0.2459)  3 Fe 1.94-1.98
O (0.6251, 0.6251, 0.8046)  3 Fe 1.92-1.97
O (0.6877, 0.3123, 0.0000)  3 Fe 1.93-2.01
O (0.8027, 0.1973, 0.5000)  3 Fe 1.95-1.96
O (0.8778, 0.8778, 0.6885)  3 Fe 1.94-2.06
O (0.8823, 0.8823, 0.0768)  3 Fe 1.91-2.05
O (0.9420, 0.5569, 0.2459)  3 Fe 1.94-1.98
F (0.3718, 0.3718, 0.5758)  3 Fe 2.05-2.13
F (0.6282, 0.6282, 0.4242)  3 Fe 2.05-2.13

***

4.
Here is Fe2O3F after structural relaxation from Materials Project. Energies are from GGA+U.

Values from the calculation:
* E_tot: -36.51 eV per formula unit
* calculated density: 4.46 g/cm³
* energy of formation from the pure elements: -1.64 eV per atom

Lattice parameters (Å, degrees): 5.5860 5.5860 4.6997 93.12 93.12 65.44
With the nearest neighbours (Å) after each atom.
Fractional coordinates of all 12 atoms:
Fe (0.0000, 0.0000, 0.0000)  4 O 1.96, 2 F 2.04
Fe (0.0000, 0.5000, 0.5000)  4 O 1.94-1.96, 2 F 2.05
Fe (0.5000, 0.0000, 0.5000)  4 O 1.94-1.96, 2 F 2.05
Fe (0.5000, 0.5000, 0.0000)  4 O 1.96
O (0.1523, 0.6536, 0.8050)  3 Fe 1.96
O (0.3379, 0.3379, 0.3190)  2 Fe 1.94
O (0.3464, 0.8477, 0.1950)  3 Fe 1.96
O (0.6536, 0.1523, 0.8050)  3 Fe 1.96
O (0.6621, 0.6621, 0.6810)  2 Fe 1.94
O (0.8477, 0.3464, 0.1950)  3 Fe 1.96
F (0.1480, 0.1480, 0.7002)  3 Fe 2.04-2.05
F (0.8520, 0.8520, 0.2998)  3 Fe 2.04-2.05

***

5.
Here is Fe6O5F7 after structural relaxation from Materials Project. Energies are from GGA+U.

Values from the calculation:
* E_tot: -106.41 eV per formula unit
* calculated density: 4.25 g/cm³
* energy of formation from the pure elements: -2.09 eV per atom

Lattice parameters (Å, degrees): 4.7938 5.7279 7.8367 85.48 88.98 87.71
With the nearest neighbours (Å) after each atom.
Fractional coordinates of all 18 atoms:
Fe (0.0000, 0.0000, 0.0000)  3 O 1.95-2.07, 3 F 2.03-2.18
Fe (0.0246, 0.6813, 0.3360)  2 O 1.96-1.97, 4 F 1.98-2.04
Fe (0.0750, 0.3490, 0.6595)  2 O 1.88-1.94, 2 F 1.99-2.09
Fe (0.4583, 0.8461, 0.6717)  3 O 1.90-1.96
Fe (0.5387, 0.1731, 0.3274)  2 O 2.08, 4 F 2.14-2.15
Fe (0.5681, 0.5298, 0.0082)  3 O 1.94-2.03, 2 F 2.05-2.06
O (0.2210, 0.6390, 0.5554)  3 Fe 1.94-1.97
O (0.3296, 0.8031, 0.9042)  3 Fe 1.91-2.07
O (0.3357, 0.1413, 0.5642)  3 Fe 1.88-2.08
O (0.7286, 0.2255, 0.0876)  3 Fe 1.94-2.08
O (0.8310, 0.7216, 0.1170)  3 Fe 1.95-1.97
F (0.2145, 0.9730, 0.2339)  3 Fe 2.04-2.14
F (0.2207, 0.3068, 0.8965)  2 Fe 1.99-2.18
F (0.3219, 0.4869, 0.2246)  3 Fe 2.00-2.15
F (0.7297, 0.8643, 0.4527)  3 Fe 1.98-2.14
F (0.7313, 0.5461, 0.7635)  3 Fe 2.06-2.20
F (0.8386, 0.3855, 0.4374)  3 Fe 2.04-2.15
F (0.8411, 0.0540, 0.7614)  2 Fe 2.03-2.16

***

6.
Here is Fe5O3F7 after structural relaxation from Materials Project. Energies are from GGA+U.

Values from the calculation:
* E_tot: -87.12 eV per formula unit
* calculated density: 4.24 g/cm³
* energy of formation from the pure elements: -2.21 eV per atom

Lattice parameters (Å, degrees): 4.8042 4.8042 15.6130 90.17 90.17 89.28
With the nearest neighbours (Å) after each atom.
Fractional coordinates of all 30 atoms:
Fe (0.0000, 0.0000, 0.0000)  2 O 1.90, 2 F 2.02
Fe (0.0014, 0.9339, 0.6037)  2 O 1.94-2.00, 3 F 2.04-2.17
Fe (0.0217, 0.9690, 0.1999)  2 O 1.92-1.94, 4 F 2.04-2.10
Fe (0.0310, 0.9783, 0.8001)  2 O 1.92-1.94, 4 F 2.04-2.10
Fe (0.0661, 0.9986, 0.3963)  2 O 1.94-2.00, 3 F 2.04-2.17
Fe (0.4835, 0.4976, 0.3083)  2 O 1.87-1.93, 2 F 2.02-2.08
Fe (0.5024, 0.5165, 0.6917)  2 O 1.87-1.93, 2 F 2.02-2.08
Fe (0.5316, 0.4684, 0.5000)  2 O 2.02, 4 F 2.12-2.14
Fe (0.5510, 0.4488, 0.1018)  1 O 2.00, 5 F 2.12-2.16
Fe (0.5512, 0.4490, 0.8982)  1 O 2.00, 5 F 2.12-2.16
O (0.2069, 0.7888, 0.7062)  3 Fe 1.92-2.00
O (0.2112, 0.7931, 0.2938)  3 Fe 1.92-2.00
O (0.3372, 0.2938, 0.3991)  3 Fe 1.87-2.02
O (0.7062, 0.6628, 0.6009)  3 Fe 1.87-2.02
O (0.8466, 0.1517, 0.1024)  3 Fe 1.90-2.00
O (0.8483, 0.1534, 0.8976)  3 Fe 1.90-2.00
F (0.2149, 0.7851, 0.5000)  3 Fe 2.04-2.14
F (0.2301, 0.7677, 0.0985)  3 Fe 2.10-2.19
F (0.2323, 0.7699, 0.9015)  3 Fe 2.10-2.19
F (0.3171, 0.2730, 0.6027)  3 Fe 2.02-2.24
F (0.3226, 0.2777, 0.2049)  3 Fe 2.08-2.13
F (0.3256, 0.2806, 0.7933)  3 Fe 2.04-2.14
F (0.3270, 0.2592, 0.9998)  3 Fe 2.02-2.13
F (0.7194, 0.6744, 0.2067)  3 Fe 2.04-2.14
F (0.7223, 0.6774, 0.7951)  3 Fe 2.08-2.13
F (0.7270, 0.6829, 0.3973)  3 Fe 2.02-2.24
F (0.7408, 0.6730, 0.0002)  3 Fe 2.02-2.13
F (0.8128, 0.1790, 0.7052)  3 Fe 2.05-2.20
F (0.8210, 0.1872, 0.2948)  3 Fe 2.05-2.20
F (0.8456, 0.1544, 0.5000)  3 Fe 2.07-2.12

***

| no. | volume (Å³ per cell) |
| --- | --- |
| 1 | 368.9 |
| 2 | 344.1 |
| 3 | 256.6 |
| 4 | 133.1 |
| 5 | 214.3 |
| 6 | 360.3 |